1.
Li2Mn3VO8: relaxed, PBE with a Hubbard U.

Calculated values
offset from the most stable computed form	21	meV/atom
energy of formation from the pure elements	-2169	meV/atom
V	289.54	Å³ per cell

a b c (Å): 5.8385 5.8385 9.6144
angles (deg): 90.00 90.00 117.94
Closest atoms and distances in Å follow each position.
Sites, in units of the cell vectors:
1 Li 0.0054 0.9946 0.5000  4 O 1.80-1.96
2 Li 0.3300 0.6700 0.9022  4 O 1.91-2.06
3 Li 0.6700 0.3300 0.4022  4 O 1.91-2.06
4 Li 0.9946 0.0054 0.0000  4 O 1.80-1.96
5 Mn 0.1691 0.8309 0.2207  6 O 1.92-2.01
6 Mn 0.1727 0.3390 0.2197  5 O 1.95-2.17
7 Mn 0.3390 0.1727 0.7197  5 O 1.95-2.17
8 Mn 0.6610 0.8273 0.2197  5 O 1.95-2.17
9 Mn 0.8273 0.6610 0.7197  5 O 1.95-2.17
10 Mn 0.8309 0.1691 0.7207  6 O 1.92-2.01
11 V 0.3366 0.6634 0.4940  2 O 1.81-1.87
12 V 0.6634 0.3366 0.9940  2 O 1.81-1.87
13 O 0.0029 0.9971 0.8129  1 Li 1.80, 3 Mn 1.94-1.95
14 O 0.0407 0.5263 0.3406  2 Mn 1.95-1.98, 1 Li 2.01, 1 V 2.12
15 O 0.1567 0.3185 0.6063  1 Li 1.96, 2 Mn 1.97-2.01, 1 V 2.08
16 O 0.1799 0.8201 0.5882  1 V 1.81, 1 Li 1.94
17 O 0.3185 0.1567 0.1063  1 Li 1.96, 2 Mn 1.97-2.01, 1 V 2.08
18 O 0.3333 0.6667 0.1165  3 Mn 1.92-1.96, 1 Li 2.06
19 O 0.4737 0.9593 0.3406  2 Mn 1.95-1.98, 1 Li 2.01, 1 V 2.12
20 O 0.4810 0.5190 0.3713  1 V 1.87, 1 Li 1.91
21 O 0.5190 0.4810 0.8713  1 V 1.87, 1 Li 1.91
22 O 0.5263 0.0407 0.8406  2 Mn 1.95-1.98, 1 Li 2.01, 1 V 2.12
23 O 0.6667 0.3333 0.6165  3 Mn 1.92-1.96, 1 Li 2.06
24 O 0.6815 0.8433 0.6063  1 Li 1.96, 2 Mn 1.97-2.01, 1 V 2.08
25 O 0.8201 0.1799 0.0882  1 V 1.81, 1 Li 1.94
26 O 0.8433 0.6815 0.1063  1 Li 1.96, 2 Mn 1.97-2.01, 1 V 2.08
27 O 0.9593 0.4737 0.8406  2 Mn 1.95-1.98, 1 Li 2.01, 1 V 2.12
28 O 0.9971 0.0029 0.3129  1 Li 1.80, 3 Mn 1.94-1.95

2.
Li3MnCo2O6: relaxed, PBE with a Hubbard U.

Calculated values
offset from the most stable computed form	78	meV/atom
energy of formation from the pure elements	-1757	meV/atom
V	111.46	Å³ per cell

a b c (Å): 2.9780 2.9780 14.5121
angles (deg): 90.00 90.00 120.00
Closest atoms and distances in Å follow each position.
Sites, in units of the cell vectors:
1 Li 0.0000 0.0000 0.0000  6 O 2.17
2 Li 0.3333 0.6667 0.3278  6 O 2.12-2.21
3 Li 0.6667 0.3333 0.6722  6 O 2.12-2.21
4 Mn 0.0000 0.0000 0.5000  6 O 2.05
5 Co 0.3333 0.6667 0.8335  6 O 2.03-2.04
6 Co 0.6667 0.3333 0.1665  6 O 2.03-2.04
7 O 0.0000 0.0000 0.2425  3 Co 2.04, 3 Li 2.12
8 O 0.0000 0.0000 0.7575  3 Co 2.04, 3 Li 2.12
9 O 0.3333 0.6667 0.0916  3 Co 2.03, 3 Li 2.17
10 O 0.3333 0.6667 0.5769  3 Mn 2.05, 3 Li 2.21
11 O 0.6667 0.3333 0.4231  3 Mn 2.05, 3 Li 2.21
12 O 0.6667 0.3333 0.9084  3 Co 2.03, 3 Li 2.17

3.
BaSrLaWO6: relaxed, PBE with a Hubbard U.

Calculated values
offset from the most stable computed form	11	meV/atom
energy of formation from the pure elements	-3063	meV/atom
V	647.17	Å³ per cell

a b c (Å): 8.6387 8.6510 8.6596
angles (deg): 90.00 90.00 90.00
Closest atoms and distances in Å follow each position.
Sites, in units of the cell vectors:
1 Ba 0.0000 0.0000 0.0000  12 O 3.08-3.12
2 Ba 0.0000 0.5000 0.0000  4 O 2.70
3 Ba 0.5000 0.0000 0.0000  4 O 2.70
4 Ba 0.5000 0.5000 0.5000  12 O 3.07-3.10
5 Sr 0.0000 0.0000 0.5000  4 O 2.59
6 Sr 0.0000 0.5000 0.5000  4 O 2.56
7 Sr 0.5000 0.0000 0.5000  4 O 2.56
8 Sr 0.5000 0.5000 0.0000  4 O 2.58
9 La 0.2504 0.2504 0.2524  6 O 2.37-2.40
10 La 0.2504 0.7496 0.7476  6 O 2.37-2.40
11 La 0.7496 0.2504 0.7476  6 O 2.37-2.40
12 La 0.7496 0.7496 0.2524  6 O 2.37-2.40
13 W 0.2498 0.2504 0.7468  6 O 2.02-2.04
14 W 0.2498 0.7496 0.2532  6 O 2.02-2.04
15 W 0.7502 0.2504 0.2532  6 O 2.02-2.04
16 W 0.7502 0.7496 0.7468  6 O 2.02-2.04
17 O 0.0200 0.2821 0.7782  1 W 2.02
18 O 0.0200 0.7179 0.2218  1 W 2.02
19 O 0.2110 0.2931 0.5195  1 W 2.03
20 O 0.2110 0.7069 0.4805  1 W 2.03
21 O 0.2128 0.0216 0.7098  1 W 2.03
22 O 0.2128 0.9784 0.2902  1 W 2.03
23 O 0.2790 0.2198 0.9782  1 W 2.04
24 O 0.2790 0.7802 0.0218  1 W 2.04
25 O 0.2917 0.4776 0.7870  1 W 2.03
26 O 0.2917 0.5224 0.2130  1 W 2.03
27 O 0.4780 0.2090 0.7077  1 W 2.03
28 O 0.4780 0.7910 0.2923  1 W 2.03
29 O 0.5220 0.2090 0.2923  1 W 2.03
30 O 0.5220 0.7910 0.7077  1 W 2.03
31 O 0.7083 0.4776 0.2130  1 W 2.03
32 O 0.7083 0.5224 0.7870  1 W 2.03
33 O 0.7210 0.2198 0.0218  1 W 2.04
34 O 0.7210 0.7802 0.9782  1 W 2.04
35 O 0.7872 0.0216 0.2902  1 W 2.03
36 O 0.7872 0.9784 0.7098  1 W 2.03
37 O 0.7890 0.2931 0.4805  1 W 2.03
38 O 0.7890 0.7069 0.5195  1 W 2.03
39 O 0.9800 0.2821 0.2218  1 W 2.02
40 O 0.9800 0.7179 0.7782  1 W 2.02

4.
LiMoPO5: relaxed, PBE with a Hubbard U.

Calculated values
offset from the most stable computed form	50	meV/atom
energy of formation from the pure elements	-2421	meV/atom
V	925.67	Å³ per cell

a b c (Å): 13.1534 6.5237 10.7876
angles (deg): 90.00 90.00 90.00
Closest atoms and distances in Å follow each position.
Sites, in units of the cell vectors:
1 Li 0.0963 0.0019 0.0000  3 O 1.97-2.00
2 Li 0.2459 0.2634 0.7427  2 O 1.98-2.10
3 Li 0.2541 0.7634 0.2427  2 O 1.98-2.10
4 Li 0.4037 0.5019 0.5000  3 O 1.97-2.00
5 Li 0.5963 0.4981 0.0000  3 O 1.97-2.00
6 Li 0.7459 0.2366 0.7427  2 O 1.98-2.10
7 Li 0.7541 0.7366 0.2427  2 O 1.98-2.10
8 Li 0.9037 0.9981 0.5000  3 O 1.97-2.00
9 Mo 0.1308 0.0159 0.4819  4 O 1.87-2.06
10 Mo 0.2369 0.2643 0.2287  6 O 1.95-2.14
11 Mo 0.2631 0.7643 0.7287  6 O 1.95-2.14
12 Mo 0.3692 0.5159 0.9819  4 O 1.87-2.06
13 Mo 0.6308 0.4841 0.4819  4 O 1.87-2.06
14 Mo 0.7369 0.2357 0.2287  6 O 1.95-2.14
15 Mo 0.7631 0.7357 0.7287  6 O 1.95-2.14
16 Mo 0.8692 0.9841 0.9819  4 O 1.87-2.06
17 P 0.0103 0.8390 0.7381  4 O 1.54-1.58
18 P 0.1860 0.5205 0.4795  4 O 1.52-1.57
19 P 0.3140 0.0205 0.9795  4 O 1.52-1.57
20 P 0.4897 0.3390 0.2381  4 O 1.54-1.58
21 P 0.5103 0.6610 0.7381  4 O 1.54-1.58
22 P 0.6860 0.9795 0.4795  4 O 1.52-1.57
23 P 0.8140 0.4795 0.9795  4 O 1.52-1.57
24 P 0.9897 0.1610 0.2381  4 O 1.54-1.58
25 O 0.0009 0.0386 0.3633  1 P 1.58
26 O 0.0131 0.9923 0.6265  1 P 1.57
27 O 0.0822 0.3055 0.2213  1 P 1.55
28 O 0.1077 0.7093 0.7463  1 P 1.54
29 O 0.1139 0.7026 0.4689  1 P 1.52
30 O 0.1245 0.3259 0.5054  1 P 1.53
31 O 0.2184 0.0164 0.3349  2 Mo 1.96-2.00, 1 Li 1.98
32 O 0.2272 0.9725 0.6066  2 Mo 1.87-1.95
33 O 0.2307 0.0418 0.0834  1 P 1.57
34 O 0.2488 0.0043 0.8577  1 P 1.57
35 O 0.2512 0.5043 0.3577  1 P 1.57
36 O 0.2693 0.5418 0.5834  1 P 1.57
37 O 0.2728 0.4725 0.1066  2 Mo 1.87-1.95
38 O 0.2816 0.5164 0.8349  2 Mo 1.96-2.00, 1 Li 1.98
39 O 0.3755 0.8259 0.0054  1 P 1.53
40 O 0.3861 0.2026 0.9689  1 P 1.52
41 O 0.3923 0.2093 0.2463  1 P 1.54
42 O 0.4178 0.8055 0.7213  1 P 1.55
43 O 0.4869 0.4923 0.1265  1 P 1.57
44 O 0.4991 0.5386 0.8633  1 P 1.58
45 O 0.5009 0.4614 0.3633  1 P 1.58
46 O 0.5131 0.5077 0.6265  1 P 1.57
47 O 0.5822 0.1945 0.2213  1 P 1.55
48 O 0.6077 0.7907 0.7463  1 P 1.54
49 O 0.6139 0.7974 0.4689  1 P 1.52
50 O 0.6245 0.1741 0.5054  1 P 1.53
51 O 0.7184 0.4836 0.3349  2 Mo 1.96-2.00, 1 Li 1.98
52 O 0.7272 0.5275 0.6066  2 Mo 1.87-1.95
53 O 0.7307 0.4582 0.0834  1 P 1.57
54 O 0.7488 0.4957 0.8577  1 P 1.57
55 O 0.7512 0.9957 0.3577  1 P 1.57
56 O 0.7693 0.9582 0.5834  1 P 1.57
57 O 0.7728 0.0275 0.1066  2 Mo 1.87-1.95
58 O 0.7816 0.9836 0.8349  2 Mo 1.96-2.00, 1 Li 1.98
59 O 0.8755 0.6741 0.0054  1 P 1.53
60 O 0.8861 0.2974 0.9689  1 P 1.52
61 O 0.8923 0.2907 0.2463  1 P 1.54
62 O 0.9178 0.6945 0.7213  1 P 1.55
63 O 0.9869 0.0077 0.1265  1 P 1.57
64 O 0.9991 0.9614 0.8633  1 P 1.58

5.
Fe9O13: relaxed, PBE with a Hubbard U.

Calculated values
energy of formation from the pure elements	-1423	meV/atom
V	260.12	Å³ per cell

a b c (Å): 5.1980 5.1980 17.6998
angles (deg): 97.78 97.78 33.33
Closest atoms and distances in Å follow each position.
Sites, in units of the cell vectors:
1 Fe 0.0000 0.0000 0.0000  6 O 2.07
2 Fe 0.1446 0.1446 0.5439  3 O 1.88-2.08
3 Fe 0.2478 0.2478 0.9152  3 O 1.90-2.11
4 Fe 0.4361 0.4361 0.6339  3 O 1.80-1.94
5 Fe 0.4872 0.4872 0.8216  3 O 1.80-1.95
6 Fe 0.5128 0.5128 0.1784  3 O 1.80-1.95
7 Fe 0.5639 0.5639 0.3661  3 O 1.80-1.94
8 Fe 0.7522 0.7522 0.0848  3 O 1.90-2.11
9 Fe 0.8554 0.8554 0.4561  3 O 1.88-2.08
10 O 0.0612 0.0612 0.6328  3 Fe 1.88-1.94
11 O 0.1127 0.1127 0.1074  5 Fe 2.07-2.27
12 O 0.1150 0.1150 0.8266  3 Fe 1.90-1.95
13 O 0.2102 0.2102 0.4326  5 Fe 2.08-2.29
14 O 0.3689 0.3689 0.0254  5 Fe 2.07-2.24
15 O 0.3890 0.3890 0.7284  2 Fe 1.80
16 O 0.5000 0.5000 0.5000  4 Fe 2.14
17 O 0.6110 0.6110 0.2716  2 Fe 1.80
18 O 0.6311 0.6311 0.9746  5 Fe 2.07-2.24
19 O 0.7898 0.7898 0.5674  5 Fe 2.08-2.29
20 O 0.8850 0.8850 0.1734  3 Fe 1.90-1.95
21 O 0.8873 0.8873 0.8926  5 Fe 2.07-2.27
22 O 0.9388 0.9388 0.3672  3 Fe 1.88-1.94

6.
LiCoSi2O6: relaxed, PBE with a Hubbard U.

Calculated values
offset from the most stable computed form	6	meV/atom
energy of formation from the pure elements	-2598	meV/atom
V	212.69	Å³ per cell

a b c (Å): 6.5357 6.5357 5.3397
angles (deg): 104.92 104.92 83.48
Closest atoms and distances in Å follow each position.
Sites, in units of the cell vectors:
1 Li 0.2410 0.7590 0.7500  4 O 2.05-2.18
2 Li 0.7590 0.2410 0.2500  4 O 2.05-2.18
3 Co 0.3996 0.6004 0.2500  4 O 1.91-2.05
4 Co 0.6004 0.3996 0.7500  4 O 1.91-2.05
5 Si 0.1147 0.2938 0.7346  4 O 1.62-1.65
6 Si 0.2938 0.1147 0.2346  4 O 1.62-1.65
7 Si 0.7062 0.8853 0.7654  4 O 1.62-1.65
8 Si 0.8853 0.7062 0.2654  4 O 1.62-1.65
9 O 0.1286 0.6125 0.3276  1 Si 1.62
10 O 0.1406 0.1477 0.4427  2 Si 1.64
11 O 0.1477 0.1406 0.9427  2 Si 1.64
12 O 0.2972 0.4712 0.8488  1 Si 1.65
13 O 0.3875 0.8714 0.1724  1 Si 1.62
14 O 0.4712 0.2972 0.3488  1 Si 1.65
15 O 0.5288 0.7028 0.6512  1 Si 1.65
16 O 0.6125 0.1286 0.8276  1 Si 1.62
17 O 0.7028 0.5288 0.1512  1 Si 1.65
18 O 0.8523 0.8594 0.0573  2 Si 1.64
19 O 0.8594 0.8523 0.5573  2 Si 1.64
20 O 0.8714 0.3875 0.6724  1 Si 1.62

> Which value of energy of formation from the pure elements does entry 1 give?

-2169 meV/atom

> What is the formula in the fifth record?

Fe9O13